No. 1
# Mg4Ti3

Mg4Ti3 after structural relaxation (PBE-GGA, the Materials Project database).

Its space-group type is P6_3/m. As for the magnetization: 1.36 μB/f.u. For the relative energy among the computed polymorphs, the calculation gives 0.000 eV/atom. For the calculated formation energy, the calculation gives 0.9 eV/f.u. Its electronic total energy is -58.4 eV for the cell shown.

```
Mg4Ti3
1.0
8.1941 0.0000 0.0000
-4.0970 7.0963 0.0000
0.0000 0.0000 4.8841
Mg Ti
8 6
Direct
0.0892 0.6258 0.2500
0.3333 0.6667 0.7500
0.3742 0.4633 0.2500
0.4633 0.0892 0.7500
0.5367 0.9108 0.2500
0.6258 0.5367 0.7500
0.6667 0.3333 0.2500
0.9108 0.3742 0.7500
0.0414 0.8291 0.7500
0.1709 0.2123 0.7500
0.2123 0.0414 0.2500
0.7877 0.9586 0.7500
0.8291 0.7877 0.2500
0.9586 0.1709 0.2500
```


No. 2
# K3CeP2S8

K3CeP2S8 after structural relaxation (PBE-GGA, the Materials Project database).

Its space-group type is P2_1/c. As for the magnetization: 1.00 μB/f.u. For the calculated formation energy, the calculation gives -18.7 eV/f.u. Its electronic total energy is -271.2 eV for the cell shown.

```
K3CeP2S8
1.0
9.2016 0.0000 0.0000
0.0000 17.3276 0.0000
-0.0228 0.0000 9.6704
K Ce P S
12 4 8 32
Direct
0.1160 0.2117 0.1309
0.1160 0.2883 0.6309
0.2309 0.0281 0.5136
0.2309 0.4719 0.0136
0.3784 0.7060 0.8749
0.3784 0.7940 0.3749
0.6216 0.2060 0.6251
0.6216 0.2940 0.1251
0.7691 0.5281 0.9864
0.7691 0.9719 0.4864
0.8840 0.7117 0.3691
0.8840 0.7883 0.8691
0.2757 0.5133 0.4718
0.2757 0.9867 0.9718
0.7243 0.0133 0.0282
0.7243 0.4867 0.5282
0.0245 0.5982 0.7193
0.0245 0.9018 0.2193
0.4950 0.1018 0.2426
0.4950 0.3982 0.7426
0.5050 0.6018 0.2574
0.5050 0.8982 0.7574
0.9755 0.0982 0.7807
0.9755 0.4018 0.2807
0.0404 0.0193 0.1792
0.0404 0.4807 0.6792
0.0649 0.6258 0.9190
0.0649 0.8742 0.4190
0.1657 0.6550 0.5900
0.1657 0.8450 0.0900
0.1861 0.1282 0.8300
0.1861 0.3718 0.3300
0.2866 0.6153 0.2254
0.2866 0.8847 0.7254
0.3766 0.1724 0.3641
0.3766 0.3276 0.8641
0.4511 0.5153 0.7493
0.4511 0.9847 0.2493
0.4626 0.1246 0.0344
0.4626 0.3754 0.5344
0.5374 0.6246 0.4656
0.5374 0.8754 0.9656
0.5489 0.0153 0.7507
0.5489 0.4847 0.2507
0.6234 0.6724 0.1359
0.6234 0.8276 0.6359
0.7134 0.1153 0.2746
0.7134 0.3847 0.7746
0.8139 0.6282 0.6700
0.8139 0.8718 0.1700
0.8343 0.1550 0.9100
0.8343 0.3450 0.4100
0.9351 0.1258 0.5810
0.9351 0.3742 0.0810
0.9596 0.5193 0.3208
0.9596 0.9807 0.8208
```


No. 3
# Na3Sb5F18

Na3Sb5F18 after structural relaxation (PBE-GGA, the Materials Project database).

Its space-group type is P2_1/c. As for the magnetization: 0.00 μB/f.u. For the calculated formation energy, the calculation gives -72.3 eV/f.u. Its electronic total energy is -492.3 eV for the cell shown.

```
Na3Sb5F18
1.0
5.5888 0.0000 0.0000
0.0000 24.2663 0.0000
-5.3771 0.0000 12.3305
Na Sb F
12 20 72
Direct
0.0075 0.0671 0.2578
0.0075 0.4329 0.7578
0.2371 0.5686 0.0079
0.2371 0.9314 0.5079
0.4583 0.6933 0.2401
0.4583 0.8067 0.7401
0.5417 0.1933 0.2599
0.5417 0.3067 0.7599
0.7629 0.0686 0.4921
0.7629 0.4314 0.9921
0.9925 0.5671 0.2422
0.9925 0.9329 0.7422
0.0563 0.6795 0.7563
0.0563 0.8205 0.2563
0.1321 0.6956 0.4663
0.1321 0.8044 0.9663
0.2246 0.1740 0.4645
0.2246 0.3260 0.9645
0.3364 0.0665 0.0305
0.3364 0.4335 0.5305
0.4865 0.0441 0.7155
0.4865 0.4559 0.2155
0.5135 0.5441 0.7845
0.5135 0.9559 0.2845
0.6636 0.5665 0.4695
0.6636 0.9335 0.9695
0.7754 0.6740 0.0355
0.7754 0.8260 0.5355
0.8679 0.1956 0.0337
0.8679 0.3044 0.5337
0.9437 0.1795 0.7437
0.9437 0.3205 0.2437
0.0356 0.1370 0.1454
0.0356 0.3630 0.6454
0.0750 0.1546 0.9578
0.0750 0.3454 0.4578
0.0796 0.5943 0.7438
0.0796 0.9057 0.2438
0.0953 0.7378 0.0862
0.0953 0.7622 0.5862
0.1006 0.6350 0.1341
0.1006 0.8650 0.6341
0.1974 0.2354 0.1160
0.1974 0.2646 0.6160
0.2104 0.6600 0.9147
0.2104 0.8400 0.4147
0.2179 0.5162 0.1552
0.2179 0.9838 0.6552
0.2189 0.7402 0.3301
0.2189 0.7598 0.8301
0.2209 0.0852 0.5747
0.2209 0.4148 0.0747
0.2732 0.0204 0.1852
0.2732 0.4796 0.6852
0.3117 0.2208 0.3614
0.3117 0.2792 0.8614
0.3419 0.5184 0.3997
0.3419 0.9816 0.8997
0.3677 0.5157 0.8865
0.3677 0.9843 0.3865
0.3772 0.1149 0.3976
0.3772 0.3851 0.8976
0.3992 0.6768 0.7491
0.3992 0.8232 0.2491
0.4636 0.6183 0.3536
0.4636 0.8817 0.8536
0.4773 0.5987 0.5541
0.4773 0.9013 0.0541
0.5227 0.0987 0.9459
0.5227 0.4013 0.4459
0.5364 0.1183 0.1464
0.5364 0.3817 0.6464
0.6008 0.1768 0.7509
0.6008 0.3232 0.2509
0.6228 0.6149 0.1024
0.6228 0.8851 0.6024
0.6323 0.0157 0.6135
0.6323 0.4843 0.1135
0.6581 0.0184 0.1003
0.6581 0.4816 0.6003
0.6883 0.7208 0.1386
0.6883 0.7792 0.6386
0.7268 0.5204 0.3148
0.7268 0.9796 0.8148
0.7791 0.5852 0.9253
0.7791 0.9148 0.4253
0.7811 0.2402 0.1699
0.7811 0.2598 0.6699
0.7821 0.0162 0.3448
0.7821 0.4838 0.8448
0.7896 0.1600 0.5853
0.7896 0.3400 0.0853
0.8026 0.7354 0.3840
0.8026 0.7646 0.8840
0.8994 0.1350 0.3659
0.8994 0.3650 0.8659
0.9047 0.2378 0.4138
0.9047 0.2622 0.9138
0.9204 0.0943 0.7562
0.9204 0.4057 0.2562
0.9250 0.6546 0.5422
0.9250 0.8454 0.0422
0.9644 0.6370 0.3546
0.9644 0.8630 0.8546
```


No. 4
# MgZn

MgZn after structural relaxation (PBE-GGA, the Materials Project database).

Its space-group type is Amm2. For the calculated formation energy, the calculation gives -0.2 eV/f.u. Its electronic total energy is -9.0 eV for the cell shown.

```
MgZn
1.0
4.7199 0.0000 0.0000
0.0000 1.5204 7.5537
0.0000 -1.5204 7.5537
Mg Zn
3 3
Direct
0.0000 0.0000 0.0000
0.0000 0.3239 0.3239
0.5000 0.1194 0.1194
0.0000 0.6674 0.6674
0.5000 0.4408 0.4408
0.5000 0.7815 0.7815
```


No. 5
# Li27Sb10

Li27Sb10 after structural relaxation (PBE-GGA, the Materials Project database).

Its space-group type is C2/m. For the calculated formation energy, the calculation gives -24.3 eV/f.u. Its electronic total energy is -115.2 eV for the cell shown.

```
Li27Sb10
1.0
3.9705 -11.5746 0.0000
3.9705 11.5746 0.0000
-2.5493 0.0000 7.5349
Li Sb
27 10
Direct
0.0000 0.0000 0.0000
0.0125 0.2229 0.8814
0.0816 0.6817 0.6437
0.1017 0.8983 0.5000
0.1457 0.1457 0.3830
0.1572 0.5669 0.1136
0.2229 0.0125 0.8814
0.2863 0.4744 0.6170
0.3002 0.6998 0.5000
0.3183 0.9184 0.3563
0.3825 0.3825 0.1447
0.3995 0.6005 0.0000
0.4331 0.8428 0.8864
0.4744 0.2863 0.6170
0.5256 0.7137 0.3830
0.5669 0.1572 0.1136
0.6005 0.3995 0.0000
0.6175 0.6175 0.8553
0.6817 0.0816 0.6437
0.6998 0.3002 0.5000
0.7137 0.5256 0.3830
0.7771 0.9875 0.1186
0.8428 0.4331 0.8864
0.8543 0.8543 0.6170
0.8983 0.1017 0.5000
0.9184 0.3183 0.3563
0.9875 0.7771 0.1186
0.0588 0.4515 0.7353
0.1510 0.3526 0.2482
0.2393 0.2393 0.7605
0.3526 0.1510 0.2482
0.4515 0.0588 0.7353
0.5485 0.9412 0.2647
0.6474 0.8490 0.7518
0.7607 0.7607 0.2395
0.8490 0.6474 0.7518
0.9412 0.5485 0.2647
```


No. 6
# Ba2LaCl7

Ba2LaCl7 after structural relaxation (PBE-GGA, the Materials Project database).

Its space-group type is C2/c. As for the magnetization: 0.00 μB/f.u. For the relative energy among the computed polymorphs, the calculation gives 0.076 eV/atom. For the calculated formation energy, the calculation gives -28.4 eV/f.u. Its electronic total energy is -183.3 eV for the cell shown.

```
Ba2LaCl7
1.0
9.6591 -6.6013 0.0000
9.6591 6.6013 0.0000
-5.5094 0.0000 10.1702
Ba La Cl
8 4 28
Direct
0.1020 0.7395 0.9557
0.2605 0.8980 0.5443
0.3309 0.4314 0.5361
0.4314 0.3309 0.0361
0.5686 0.6691 0.9639
0.6691 0.5686 0.4639
0.7395 0.1020 0.4557
0.8980 0.2605 0.0443
0.0138 0.3374 0.6780
0.3374 0.0138 0.1780
0.6626 0.9862 0.8220
0.9862 0.6626 0.3220
0.0321 0.0888 0.6678
0.0511 0.4134 0.3404
0.0888 0.0321 0.1678
0.1325 0.4540 0.9397
0.1409 0.7165 0.5812
0.2237 0.6239 0.2900
0.2347 0.2378 0.1099
0.2378 0.2347 0.6099
0.2835 0.8591 0.9188
0.3531 0.5231 0.8537
0.3761 0.7763 0.2100
0.4134 0.0511 0.8404
0.4540 0.1325 0.4397
0.4769 0.6469 0.6463
0.5231 0.3531 0.3537
0.5460 0.8675 0.5603
0.5866 0.9489 0.1596
0.6239 0.2237 0.7900
0.6469 0.4769 0.1463
0.7165 0.1409 0.0812
0.7622 0.7653 0.3901
0.7653 0.7622 0.8901
0.7763 0.3761 0.7100
0.8591 0.2835 0.4188
0.8675 0.5460 0.0603
0.9112 0.9679 0.8322
0.9489 0.5866 0.6596
0.9679 0.9112 0.3322
```


No. 7
# Sm3Ni6Sn4

Sm3Ni6Sn4 after structural relaxation (PBE-GGA, the Materials Project database).

Its space-group type is P6_3mc. As for the magnetization: 0.03 μB/f.u. For the calculated formation energy, the calculation gives -5.0 eV/f.u. Its electronic total energy is -139.8 eV for the cell shown.

```
Sm3Ni6Sn4
1.0
8.8842 0.0000 0.0000
-4.4421 7.6940 0.0000
0.0000 0.0000 7.5340
Sm Ni Sn
6 12 8
Direct
0.0462 0.5231 0.0000
0.4769 0.5231 0.0000
0.4769 0.9538 0.0000
0.5231 0.0462 0.5000
0.5231 0.4769 0.5000
0.9538 0.4769 0.5000
0.0960 0.1920 0.0158
0.0960 0.9040 0.0158
0.1661 0.3322 0.3404
0.1661 0.8339 0.3404
0.1920 0.0960 0.5158
0.3322 0.1661 0.8404
0.6678 0.8339 0.3404
0.8080 0.9040 0.0158
0.8339 0.1661 0.8404
0.8339 0.6678 0.8404
0.9040 0.0960 0.5158
0.9040 0.8080 0.5158
0.1597 0.3195 0.7045
0.1597 0.8403 0.7045
0.3195 0.1597 0.2045
0.3333 0.6667 0.3134
0.6667 0.3333 0.8134
0.6805 0.8403 0.7045
0.8403 0.1597 0.2045
0.8403 0.6805 0.2045
```


No. 8
# NaPrF4

NaPrF4 after structural relaxation (PBE-GGA, the Materials Project database).

Its space-group type is P1. For the calculated formation energy, the calculation gives -23.7 eV/f.u. Its electronic total energy is -106.8 eV for the cell shown.

```
NaPrF4
1.0
6.2065 0.0000 0.0000
3.0965 6.5627 0.0000
3.0985 2.2148 6.1879
Na Pr F
3 3 12
Direct
0.0000 0.0000 0.0000
0.0089 0.4850 0.4807
0.6716 0.4437 0.2072
0.3373 0.5162 0.8016
0.3404 0.0169 0.2959
0.6726 0.9404 0.7072
0.0918 0.7521 0.5297
0.0982 0.2548 0.0371
0.3090 0.9086 0.6854
0.3134 0.3991 0.1818
0.3854 0.3028 0.6064
0.3893 0.8346 0.0709
0.5991 0.6465 0.4292
0.6203 0.1458 0.9231
0.6992 0.5637 0.7997
0.6998 0.0306 0.3314
0.9312 0.7229 0.9540
0.9332 0.1843 0.4899
```


No. 9
# SbO2

SbO2 after structural relaxation (PBE-GGA, the Materials Project database).

Its space-group type is Cm. As for the magnetization: 0.00 μB/f.u. For the calculated formation energy, the calculation gives -5.0 eV/f.u. Its electronic total energy is -282.4 eV for the cell shown.

```
SbO2
1.0
5.7643 -3.2090 0.0000
5.7643 3.2090 0.0000
-1.4946 0.0000 20.8752
Sb O
16 32
Direct
0.0000 0.0000 0.0000
0.1997 0.7038 0.1498
0.2197 0.2197 0.2695
0.2466 0.7729 0.4110
0.2759 0.2759 0.7799
0.3046 0.8032 0.6504
0.3344 0.3344 0.5255
0.3440 0.8338 0.8847
0.4933 0.4933 0.2824
0.6712 0.6712 0.0465
0.7038 0.1997 0.1498
0.7302 0.7302 0.5348
0.7729 0.2466 0.4110
0.8032 0.3046 0.6504
0.8338 0.3440 0.8847
0.8768 0.8768 0.7622
0.0260 0.0260 0.8269
0.1133 0.1133 0.1954
0.1149 0.1149 0.4448
0.1437 0.1437 0.7010
0.1505 0.1505 0.9414
0.1658 0.6425 0.4812
0.1688 0.5754 0.2439
0.1727 0.6917 0.7129
0.1842 0.7277 0.9368
0.2987 0.8479 0.0576
0.3622 0.8153 0.3281
0.3760 0.3760 0.1088
0.4181 0.4181 0.3697
0.4349 0.9081 0.5849
0.4624 0.9893 0.8340
0.4655 0.4655 0.6021
0.5213 0.5213 0.8364
0.5632 0.5632 0.1958
0.5754 0.1688 0.2439
0.6014 0.6014 0.4548
0.6299 0.6299 0.6945
0.6425 0.1658 0.4812
0.6605 0.6605 0.9438
0.6917 0.1727 0.7129
0.7277 0.1842 0.9368
0.8153 0.3622 0.3281
0.8479 0.2987 0.0576
0.8550 0.8550 0.0438
0.9081 0.4349 0.5849
0.9145 0.9145 0.3749
0.9787 0.9787 0.6063
0.9893 0.4624 0.8340
```


No. 10
# DyRh

DyRh after structural relaxation (PBE-GGA, the Materials Project database).

Its space-group type is Pm-3m. For the calculated formation energy, the calculation gives -1.8 eV/f.u. Its electronic total energy is -13.7 eV for the cell shown.

```
DyRh
1.0
3.4302 0.0000 0.0000
0.0000 3.4302 0.0000
0.0000 0.0000 3.4302
Dy Rh
1 1
Direct
0.0000 0.0000 0.0000
0.5000 0.5000 0.5000
```


Q: Among the records above, which one has the lowest calculated formation energy?
A: Na3Sb5F18


Q: Look up the calculated formation energy of the third one.
A: -72.3 eV/f.u.


Q: Which of these has the lowest electronic total energy?
A: Na3Sb5F18


Q: What is the electronic total energy in the tenth record?
A: -13.7 eV for the cell shown